1.
Entry from the Materials Project: PWO4F after structural relaxation (GGA+U).

a = 5.382 Å, b = 5.385 Å, c = 7.726 Å
α = 106.32°, β = 109.04°, γ = 94.98°
Fractional coordinates of all 14 atoms:
P  0.115  0.425  0.262
P  0.885  0.575  0.738
W  0.000  0.000  0.500
W  0.500  0.500  0.000
O  0.156  0.260  0.399
O  0.179  0.654  0.884
O  0.186  0.722  0.384
O  0.304  0.364  0.150
O  0.696  0.636  0.850
O  0.814  0.278  0.616
O  0.821  0.346  0.116
O  0.844  0.740  0.601
F  0.329  0.147  0.765
F  0.671  0.853  0.235

Calculated values
calculated volume: 14.2 A^3/atom
space-group type: P-1
DFT total energy: -7.1769 eV per atom
distance to the lowest polymorph of the same formula: 0 meV/atom
ΔE_f: -2.544 eV per atom

---

2.
Entry from the Materials Project: Ca8Ti3Mn5O23 after structural relaxation (GGA+U).

a = 10.775 Å, b = 10.936 Å, c = 15.416 Å
α = 90.05°, β = 90.09°, γ = 90.44°
Fractional coordinates of all 156 atoms:
Ca  0.000  0.000  0.000
Ca  0.000  0.438  0.738
Ca  0.000  0.444  0.249
Ca  0.001  0.950  0.252
Ca  0.007  0.953  0.733
Ca  0.231  0.698  0.251
Ca  0.233  0.747  0.987
Ca  0.239  0.194  0.740
Ca  0.241  0.193  0.247
Ca  0.243  0.702  0.735
Ca  0.246  0.742  0.493
Ca  0.247  0.237  0.994
Ca  0.249  0.242  0.494
Ca  0.468  0.007  0.991
Ca  0.488  0.484  0.494
Ca  0.488  0.996  0.494
Ca  0.489  0.965  0.250
Ca  0.491  0.484  0.986
Ca  0.491  0.959  0.738
Ca  0.493  0.436  0.254
Ca  0.497  0.443  0.738
Ca  0.738  0.197  0.251
Ca  0.740  0.198  0.735
Ca  0.740  0.700  0.741
Ca  0.747  0.234  0.494
Ca  0.748  0.244  0.987
Ca  0.751  0.703  0.259
Ca  0.756  0.747  0.495
Ca  0.758  0.715  0.989
Ca  0.992  0.996  0.493
Ca  0.993  0.490  0.494
Ca  0.998  0.483  0.990
Ti  0.006  0.702  0.860
Ti  0.243  0.459  0.120
Ti  0.250  0.458  0.865
Ti  0.461  0.727  0.113
Ti  0.491  0.721  0.864
Ti  0.498  0.721  0.615
Ti  0.500  0.720  0.372
Ti  0.743  0.466  0.864
Ti  0.745  0.466  0.370
Ti  0.746  0.469  0.617
Ti  0.762  0.458  0.119
Ti  0.995  0.715  0.122
Mn  0.239  0.974  0.119
Mn  0.243  0.470  0.369
Mn  0.243  0.970  0.370
Mn  0.243  0.972  0.867
Mn  0.244  0.471  0.617
Mn  0.245  0.971  0.616
Mn  0.493  0.217  0.866
Mn  0.494  0.217  0.370
Mn  0.494  0.218  0.618
Mn  0.495  0.220  0.118
Mn  0.739  0.976  0.858
Mn  0.746  0.970  0.372
Mn  0.747  0.970  0.616
Mn  0.755  0.985  0.124
Mn  0.994  0.215  0.869
Mn  0.994  0.722  0.616
Mn  0.995  0.721  0.372
Mn  0.996  0.217  0.120
Mn  0.996  0.220  0.369
Mn  0.996  0.220  0.617
O  0.013  0.715  0.988
O  0.033  0.214  0.492
O  0.034  0.705  0.494
O  0.036  0.213  0.995
O  0.087  0.572  0.133
O  0.088  0.072  0.138
O  0.093  0.069  0.849
O  0.098  0.576  0.640
O  0.099  0.076  0.349
O  0.100  0.570  0.846
O  0.100  0.576  0.348
O  0.101  0.077  0.635
O  0.132  0.821  0.134
O  0.135  0.826  0.852
O  0.138  0.825  0.350
O  0.139  0.825  0.637
O  0.140  0.323  0.848
O  0.141  0.326  0.345
O  0.141  0.327  0.640
O  0.143  0.322  0.140
O  0.206  0.459  0.493
O  0.208  0.958  0.492
O  0.209  0.458  0.992
O  0.210  0.963  0.994
O  0.277  0.977  0.243
O  0.278  0.977  0.743
O  0.279  0.484  0.243
O  0.283  0.483  0.743
O  0.337  0.619  0.097
O  0.344  0.118  0.888
O  0.348  0.115  0.389
O  0.348  0.121  0.099
O  0.349  0.115  0.597
O  0.349  0.616  0.599
O  0.349  0.617  0.383
O  0.355  0.616  0.894
O  0.389  0.864  0.600
O  0.390  0.367  0.600
O  0.390  0.863  0.381
O  0.390  0.864  0.890
O  0.391  0.365  0.885
O  0.392  0.367  0.386
O  0.392  0.372  0.100
O  0.393  0.873  0.097
O  0.455  0.226  0.743
O  0.459  0.221  0.244
O  0.462  0.734  0.747
O  0.502  0.725  0.229
O  0.532  0.213  0.494
O  0.533  0.216  0.992
O  0.533  0.709  0.493
O  0.557  0.698  0.018
O  0.589  0.073  0.854
O  0.596  0.058  0.129
O  0.599  0.575  0.351
O  0.599  0.576  0.852
O  0.599  0.578  0.639
O  0.600  0.076  0.349
O  0.601  0.075  0.640
O  0.638  0.325  0.350
O  0.638  0.327  0.638
O  0.638  0.334  0.141
O  0.639  0.826  0.638
O  0.640  0.323  0.848
O  0.640  0.826  0.354
O  0.655  0.822  0.867
O  0.702  0.962  0.494
O  0.708  0.461  0.494
O  0.708  0.468  0.996
O  0.772  0.484  0.243
O  0.780  0.966  0.246
O  0.781  0.478  0.744
O  0.790  0.975  0.740
O  0.831  0.620  0.109
O  0.846  0.126  0.092
O  0.847  0.117  0.387
O  0.848  0.116  0.597
O  0.849  0.616  0.600
O  0.849  0.617  0.387
O  0.851  0.616  0.880
O  0.852  0.100  0.897
O  0.862  0.866  0.080
O  0.888  0.361  0.889
O  0.889  0.867  0.391
O  0.890  0.364  0.601
O  0.890  0.365  0.385
O  0.891  0.866  0.594
O  0.898  0.370  0.098
O  0.952  0.739  0.746
O  0.953  0.230  0.242
O  0.956  0.225  0.744
O  0.959  0.734  0.242

Calculated values
calculated volume: 11.6 A^3/atom
space-group type: P1
DFT total energy: -7.4000 eV per atom
distance to the lowest polymorph of the same formula: 0 meV/atom
ΔE_f: -2.908 eV per atom

---

3.
Entry from the Materials Project: LiV3O8 after structural relaxation (GGA+U).

a = 5.566 Å, b = 5.566 Å, c = 5.948 Å
α = 90.00°, β = 90.00°, γ = 120.00°
Fractional coordinates of all 12 atoms:
Li  0.000  0.000  0.000
V  0.000  0.000  0.500
V  0.333  0.667  0.776
V  0.667  0.333  0.224
O  0.156  0.312  0.690
O  0.156  0.844  0.690
O  0.312  0.156  0.310
O  0.333  0.667  0.051
O  0.667  0.333  0.949
O  0.688  0.844  0.690
O  0.844  0.156  0.310
O  0.844  0.688  0.310

Calculated values
calculated volume: 13.3 A^3/atom
space-group type: P-3m1
DFT total energy: -7.1107 eV per atom
distance to the lowest polymorph of the same formula: 79 meV/atom
ΔE_f: -2.265 eV per atom

---

4.
Entry from the Materials Project: Li2VCrP2O8F2 after structural relaxation (GGA+U).

a = 5.222 Å, b = 7.357 Å, c = 10.532 Å
α = 104.06°, β = 97.67°, γ = 108.60°
Fractional coordinates of all 32 atoms:
Li  0.037  0.118  0.307
Li  0.462  0.380  0.192
Li  0.538  0.620  0.808
Li  0.963  0.882  0.693
V  0.000  0.500  0.000
V  0.500  0.500  0.500
Cr  0.000  0.000  0.000
Cr  0.500  0.000  0.500
P  0.001  0.440  0.679
P  0.497  0.058  0.820
P  0.503  0.942  0.180
P  0.999  0.560  0.321
O  0.138  0.485  0.829
O  0.141  0.785  0.393
O  0.204  0.444  0.333
O  0.244  0.960  0.876
O  0.256  0.538  0.624
O  0.293  0.054  0.167
O  0.360  0.715  0.107
O  0.363  0.012  0.670
O  0.637  0.988  0.330
O  0.640  0.285  0.893
O  0.707  0.946  0.833
O  0.744  0.462  0.376
O  0.756  0.040  0.124
O  0.796  0.556  0.667
O  0.859  0.215  0.607
O  0.862  0.515  0.171
F  0.165  0.294  0.036
F  0.336  0.197  0.464
F  0.664  0.803  0.536
F  0.835  0.706  0.964

Calculated values
calculated volume: 11.3 A^3/atom
space-group type: P-1
DFT total energy: -6.9653 eV per atom
distance to the lowest polymorph of the same formula: 0 meV/atom
ΔE_f: -2.798 eV per atom

---

5.
Entry from the Materials Project: Li5Ti2Ni5O12 after structural relaxation (GGA+U).

a = 5.112 Å, b = 5.112 Å, c = 9.782 Å
α = 94.85°, β = 94.85°, γ = 120.67°
Fractional coordinates of all 24 atoms:
Li  0.000  0.000  0.000
Li  0.253  0.239  0.754
Li  0.410  0.085  0.244
Li  0.761  0.747  0.246
Li  0.915  0.590  0.756
Ti  0.330  0.670  0.000
Ti  0.831  0.169  0.500
Ni  0.083  0.410  0.245
Ni  0.166  0.834  0.500
Ni  0.501  0.499  0.500
Ni  0.590  0.917  0.755
Ni  0.664  0.336  0.000
O  0.058  0.697  0.121
O  0.112  0.131  0.380
O  0.197  0.530  0.618
O  0.303  0.942  0.879
O  0.383  0.395  0.118
O  0.470  0.803  0.382
O  0.555  0.201  0.620
O  0.605  0.617  0.882
O  0.693  0.041  0.116
O  0.799  0.445  0.380
O  0.869  0.888  0.620
O  0.959  0.307  0.884

Calculated values
calculated volume: 9.0 A^3/atom
space-group type: C2
DFT total energy: -5.9772 eV per atom
ΔE_f: -2.116 eV per atom

---

6.
Entry from the Materials Project: SrCaHfVO6 after structural relaxation (GGA+U).

a = 5.649 Å, b = 5.649 Å, c = 5.649 Å
α = 60.00°, β = 60.00°, γ = 60.00°
Fractional coordinates of all 10 atoms:
Sr  0.000  0.000  0.000
Ca  0.500  0.500  0.500
Hf  0.250  0.250  0.250
V  0.750  0.750  0.750
O  0.507  0.507  0.993
O  0.507  0.993  0.507
O  0.507  0.993  0.993
O  0.993  0.507  0.507
O  0.993  0.507  0.993
O  0.993  0.993  0.507

Calculated values
calculated volume: 12.7 A^3/atom
space-group type: F-43m
DFT total energy: -7.9254 eV per atom
ΔE_f: -3.265 eV per atom

---

7.
Entry from the Materials Project: FeBO3 after structural relaxation (GGA+U).

a = 4.998 Å, b = 7.388 Å, c = 7.388 Å
α = 108.33°, β = 70.59°, γ = 109.41°
Fractional coordinates of all 20 atoms:
O  0.375  0.549  0.799
O  0.885  0.711  0.463
O  0.875  0.049  0.299
Fe  0.750  0.750  0.250
B  0.125  0.792  0.542
O  0.115  0.289  0.537
O  0.865  0.213  0.961
Fe  0.000  0.000  0.000
O  0.365  0.713  0.461
B  0.375  0.708  0.958
O  0.615  0.789  0.037
B  0.625  0.292  0.042
O  0.635  0.287  0.539
O  0.135  0.787  0.039
B  0.875  0.208  0.458
Fe  0.250  0.250  0.750
O  0.385  0.211  0.963
O  0.625  0.451  0.201
Fe  0.500  0.500  0.500
O  0.125  0.951  0.701

Calculated values
calculated volume: 11.8 A^3/atom
DFT total energy: -7.3031 eV per atom
ΔE_f: -2.168 eV per atom

---

8.
Entry from the Materials Project: Na6Ca3MnC6O18F2 after structural relaxation (GGA+U).

a = 7.097 Å, b = 8.065 Å, c = 8.949 Å
α = 63.33°, β = 85.04°, γ = 79.01°
Fractional coordinates of all 36 atoms:
Na  0.000  0.000  0.000
Na  0.001  0.776  0.447
Na  0.338  0.697  0.882
Na  0.501  0.773  0.458
Na  0.503  0.992  0.013
Na  0.837  0.352  0.574
Ca  0.165  0.243  0.249
Ca  0.350  0.314  0.610
Ca  0.667  0.265  0.205
Mn  0.855  0.694  0.851
C  0.119  0.394  0.846
C  0.124  0.998  0.619
C  0.315  0.620  0.235
C  0.628  0.005  0.617
C  0.633  0.396  0.839
C  0.816  0.624  0.216
O  0.030  0.490  0.704
O  0.040  0.926  0.764
O  0.106  0.468  0.952
O  0.123  0.181  0.542
O  0.211  0.896  0.549
O  0.221  0.229  0.883
O  0.288  0.777  0.104
O  0.294  0.613  0.384
O  0.363  0.460  0.223
O  0.524  0.976  0.751
O  0.549  0.469  0.695
O  0.625  0.177  0.502
O  0.640  0.503  0.915
O  0.709  0.221  0.912
O  0.733  0.864  0.598
O  0.787  0.662  0.342
O  0.798  0.759  0.063
O  0.865  0.449  0.240
F  0.456  0.076  0.231
F  0.955  0.077  0.228

Calculated values
calculated volume: 12.5 A^3/atom
space-group type: P1
DFT total energy: -6.7724 eV per atom
ΔE_f: -2.427 eV per atom

---

9.
Entry from the Materials Project: Na2VP2O8 after structural relaxation (GGA+U).

a = 7.823 Å, b = 13.626 Å, c = 6.372 Å
α = 90.00°, β = 99.74°, γ = 90.00°
Fractional coordinates of all 52 atoms:
Na  0.029  0.132  0.438
Na  0.029  0.368  0.938
Na  0.436  0.212  0.341
Na  0.436  0.288  0.841
Na  0.564  0.712  0.159
Na  0.564  0.788  0.659
Na  0.971  0.632  0.062
Na  0.971  0.868  0.562
V  0.272  0.574  0.731
V  0.272  0.926  0.231
V  0.728  0.074  0.769
V  0.728  0.426  0.269
P  0.141  0.133  0.959
P  0.141  0.367  0.459
P  0.327  0.518  0.250
P  0.327  0.982  0.750
P  0.673  0.018  0.250
P  0.673  0.482  0.750
P  0.859  0.633  0.541
P  0.859  0.867  0.041
O  0.033  0.637  0.695
O  0.033  0.863  0.195
O  0.140  0.063  0.146
O  0.140  0.437  0.646
O  0.213  0.234  0.025
O  0.213  0.266  0.525
O  0.217  0.535  0.028
O  0.217  0.965  0.528
O  0.269  0.589  0.411
O  0.269  0.911  0.911
O  0.282  0.092  0.815
O  0.282  0.408  0.315
O  0.391  0.672  0.814
O  0.391  0.828  0.314
O  0.479  0.023  0.255
O  0.479  0.477  0.755
O  0.521  0.523  0.245
O  0.521  0.977  0.745
O  0.609  0.172  0.686
O  0.609  0.328  0.186
O  0.718  0.592  0.685
O  0.718  0.908  0.185
O  0.731  0.089  0.089
O  0.731  0.411  0.589
O  0.783  0.035  0.472
O  0.783  0.465  0.972
O  0.787  0.734  0.475
O  0.787  0.766  0.975
O  0.860  0.563  0.354
O  0.860  0.937  0.854
O  0.967  0.137  0.805
O  0.967  0.363  0.305

Calculated values
calculated volume: 12.9 A^3/atom
space-group type: P2_1/c
DFT total energy: -6.8569 eV per atom
distance to the lowest polymorph of the same formula: 0 meV/atom
ΔE_f: -2.630 eV per atom

---

10.
Entry from the Materials Project: Sr3NbCoO7 after structural relaxation (GGA+U).

a = 5.619 Å, b = 11.082 Å, c = 11.082 Å
α = 29.36°, β = 90.00°, γ = 90.00°
Fractional coordinates of all 24 atoms:
Sr  0.000  0.000  0.000
Sr  0.000  0.164  0.164
Sr  0.000  0.374  0.374
Sr  0.500  0.500  0.500
Sr  0.500  0.664  0.664
Sr  0.500  0.874  0.874
Nb  0.000  0.780  0.780
Nb  0.500  0.280  0.280
Co  0.000  0.577  0.577
Co  0.500  0.077  0.077
O  0.000  0.484  0.484
O  0.000  0.691  0.691
O  0.000  0.878  0.878
O  0.237  0.823  0.350
O  0.250  0.035  0.535
O  0.250  0.535  0.035
O  0.263  0.323  0.850
O  0.500  0.191  0.191
O  0.500  0.378  0.378
O  0.500  0.984  0.984
O  0.737  0.850  0.323
O  0.750  0.035  0.535
O  0.750  0.535  0.035
O  0.763  0.350  0.823

Calculated values
calculated volume: 14.1 A^3/atom
space-group type: Aea2
DFT total energy: -7.0411 eV per atom
distance to the lowest polymorph of the same formula: 0 meV/atom
ΔE_f: -2.835 eV per atom